# CoBMo | the Materials Project database | PBE | optimized geometry
data_CoBMo
_chemical_formula_sum 'Co4 B4 Mo4'
_symmetry_space_group_name_H-M 'P n m a'
_symmetry_Int_Tables_number 62
_symmetry_space_group_name_Hall '-P 2ac 2n'
_cell_length_a 5.749
_cell_length_b 3.243
_cell_length_c 6.620
_cell_angle_alpha 90.00
_cell_angle_beta 90.00
_cell_angle_gamma 90.00
loop_
_atom_site_label
_atom_site_type_symbol
_atom_site_fract_x
_atom_site_fract_y
_atom_site_fract_z
Co1 Co 0.144 0.250 0.057
B1 B 0.228 0.750 0.875
Mo1 Mo 0.028 0.250 0.674
# Raw total energy = -25.9 eV/f.u.


# LiAs3H2O9 | the Materials Project database | PBE | optimized geometry
data_LiAs3H2O9
_chemical_formula_sum 'Li4 As12 H8 O36'
_symmetry_space_group_name_H-M 'P 1 21/c 1'
_symmetry_Int_Tables_number 14
_symmetry_space_group_name_Hall '-P 2ybc'
_cell_length_a 9.840
_cell_length_b 8.815
_cell_length_c 10.304
_cell_angle_alpha 90.00
_cell_angle_beta 118.89
_cell_angle_gamma 90.00
loop_
_atom_site_label
_atom_site_type_symbol
_atom_site_fract_x
_atom_site_fract_y
_atom_site_fract_z
Li1 Li 0.125 0.106 0.008
As1 As 0.096 0.737 0.359
As2 As 0.421 0.620 0.406
As3 As 0.430 0.183 0.756
H1 H 0.160 0.236 0.787
H2 H 0.238 0.582 0.031
O1 O 0.067 0.614 0.465
O2 O 0.071 0.222 0.809
O3 O 0.150 0.578 0.930
O4 O 0.215 0.669 0.289
O5 O 0.262 0.224 0.195
O6 O 0.375 0.060 0.972
O7 O 0.408 0.517 0.239
O8 O 0.423 0.729 0.565
O9 O 0.480 0.702 0.853
# Total energy after the MP2020 corrections = -6.141 eV per atom


# RbHS | the Materials Project database | PBE | optimized geometry
data_RbHS
_chemical_formula_sum 'Rb2 H2 S2'
_symmetry_space_group_name_H-M 'C 1 2 1'
_symmetry_Int_Tables_number 5
_symmetry_space_group_name_Hall 'C 2y'
_cell_length_a 7.444
_cell_length_b 5.999
_cell_length_c 3.354
_cell_angle_alpha 90.00
_cell_angle_beta 113.73
_cell_angle_gamma 90.00
loop_
_atom_site_label
_atom_site_type_symbol
_atom_site_fract_x
_atom_site_fract_y
_atom_site_fract_z
Rb1 Rb 0.000 0.000 0.000
H1 H 0.000 0.524 0.000
S1 S 0.000 0.487 0.500
# Total energy after the MP2020 corrections = -3.506 eV per atom


# TaH2 | the Materials Project database | PBE | optimized geometry
data_TaH2
_chemical_formula_sum 'Ta4 H8'
_symmetry_space_group_name_H-M 'F m -3 m'
_symmetry_Int_Tables_number 225
_symmetry_space_group_name_Hall '-F 4 2 3'
_cell_length_a 4.541
_cell_length_b 4.541
_cell_length_c 4.541
_cell_angle_alpha 90.00
_cell_angle_beta 90.00
_cell_angle_gamma 90.00
loop_
_atom_site_label
_atom_site_type_symbol
_atom_site_fract_x
_atom_site_fract_y
_atom_site_fract_z
Ta1 Ta 0.000 0.000 0.000
H1 H 0.250 0.250 0.250
# Total energy after the MP2020 corrections = -6.425 eV per atom


# La9InSi3S21 | the Materials Project database | PBE | optimized geometry
data_La9InSi3S21
_chemical_formula_sum 'La54 In6 Si18 S126'
_symmetry_space_group_name_H-M 'R 3'
_symmetry_Int_Tables_number 146
_symmetry_space_group_name_Hall 'R 3'
_cell_length_a 18.0420
_cell_length_b 18.0420
_cell_length_c 17.4352
_cell_angle_alpha 90.00
_cell_angle_beta 90.00
_cell_angle_gamma 120.00
loop_
_atom_site_label
_atom_site_type_symbol
_atom_site_fract_x
_atom_site_fract_y
_atom_site_fract_z
La1 La 0.0359 0.8453 0.0000
La2 La 0.0376 0.8372 0.6628
La3 La 0.0378 0.8377 0.3370
La4 La 0.1704 0.4665 0.8293
La5 La 0.1713 0.4666 0.5038
La6 La 0.1788 0.4758 0.1667
In1 In 0.0000 0.0000 0.2539
In2 In 0.0000 0.0000 0.7539
Si1 Si 0.0002 0.3332 0.3043
Si2 Si 0.9999 0.6660 0.8043
S1 S 0.0003 0.3319 0.4259
S2 S 0.0011 0.6661 0.5925
S3 S 0.0204 0.4522 0.9239
S4 S 0.0217 0.4530 0.5906
S5 S 0.0248 0.4537 0.2576
S6 S 0.0255 0.8889 0.1754
S7 S 0.0273 0.8851 0.5048
S8 S 0.0274 0.8902 0.8343
S9 S 0.1192 0.7661 0.0904
S10 S 0.1202 0.7629 0.4242
S11 S 0.1196 0.7630 0.7574
S12 S 0.1366 0.0257 0.6755
S13 S 0.1373 0.0272 0.3343
S14 S 0.1422 0.0275 0.0047
# Total energy after the MP2020 corrections = -6.447 eV per atom


# TiAlRh2 | the Materials Project database | PBE | optimized geometry
data_TiAlRh2
_chemical_formula_sum 'Ti4 Al4 Rh8'
_symmetry_space_group_name_H-M 'F m -3 m'
_symmetry_Int_Tables_number 225
_symmetry_space_group_name_Hall '-F 4 2 3'
_cell_length_a 6.128
_cell_length_b 6.128
_cell_length_c 6.128
_cell_angle_alpha 90.00
_cell_angle_beta 90.00
_cell_angle_gamma 90.00
loop_
_atom_site_label
_atom_site_type_symbol
_atom_site_fract_x
_atom_site_fract_y
_atom_site_fract_z
Ti1 Ti 0.000 0.000 0.000
Al1 Al 0.000 0.000 0.500
Rh1 Rh 0.250 0.250 0.250
# Raw total energy = -30.3 eV/f.u.